The following is a GGA-PBE calculation of a relaxed structure of EuHo2S4, from the Materials Project database.

**Uncorrected energy**: -7.258 eV per atom
**Energy relative to the elements**: -2.407 eV/atom
**Space group**: Pnma, No. 62

a = 11.894 Å, b = 3.958 Å, c = 14.213 Å
α = 90.00°, β = 90.00°, γ = 90.00°
Element x y z (fractional)
Eu: 0.242 0.250 0.162
Eu: 0.258 0.750 0.662
Eu: 0.742 0.250 0.338
Eu: 0.758 0.750 0.838
Ho: 0.067 0.250 0.390
Ho: 0.081 0.250 0.900
Ho: 0.419 0.750 0.400
Ho: 0.433 0.750 0.890
Ho: 0.567 0.250 0.110
Ho: 0.581 0.250 0.600
Ho: 0.919 0.750 0.100
Ho: 0.933 0.750 0.610
S: 0.023 0.750 0.784
S: 0.088 0.250 0.579
S: 0.132 0.750 0.029
S: 0.207 0.750 0.323
S: 0.293 0.250 0.823
S: 0.368 0.250 0.529
S: 0.412 0.750 0.079
S: 0.477 0.250 0.284
S: 0.523 0.750 0.716
S: 0.588 0.250 0.921
S: 0.632 0.750 0.471
S: 0.707 0.750 0.177
S: 0.793 0.250 0.677
S: 0.868 0.250 0.971
S: 0.912 0.750 0.421
S: 0.977 0.250 0.216